DFT (r²SCAN) results for a relaxed Sm2CdIn crystal.

CIF file:
```
data_Sm2CdIn
_chemical_formula_sum 'Sm8 Cd4 In4'
_cell_length_a 7.628
_cell_length_b 7.628
_cell_length_c 7.628
_cell_angle_alpha 90.00
_cell_angle_beta 90.00
_cell_angle_gamma 90.00
_space_group_name_H-M_alt 'F m -3 m'
_space_group_IT_number 225
_space_group_name_Hall '-F 4 2 3'
loop_
_atom_site_label
_atom_site_type_symbol
_atom_site_fract_x
_atom_site_fract_y
_atom_site_fract_z
Sm1 Sm 0.250 0.250 0.250
Cd1 Cd 0.000 0.000 0.000
In1 In 0.000 0.000 0.500
```

## Properties
- size of the total moment (μB/atom) = 0.000
- formation energy from the elements (eV per atom) = -0.521

DFT (r²SCAN) results for a relaxed SmCdIn crystal.

CIF file:
```
data_SmCdIn
_chemical_formula_sum 'Sm2 Cd2 In2'
_cell_length_a 4.8671
_cell_length_b 4.8671
_cell_length_c 7.6424
_cell_angle_alpha 90.00
_cell_angle_beta 90.00
_cell_angle_gamma 120.00
_space_group_name_H-M_alt 'P -3 m 1'
_space_group_IT_number 164
_space_group_name_Hall '-P 3 2"'
loop_
_atom_site_label
_atom_site_type_symbol
_atom_site_fract_x
_atom_site_fract_y
_atom_site_fract_z
Sm1 Sm 0.0000 0.0000 0.2372
Cd1 Cd 0.3333 0.6667 0.9713
In1 In 0.3333 0.6667 0.5538
```

## Properties
- size of the total moment (μB/atom) = 0.000
- formation energy from the elements (eV per atom) = -0.547

Which value of formation energy from the elements does entry 2 give?
-0.547 eV per atom

formation energy from the elements of number 1 (Sm2CdIn)?
-0.521 eV per atom